Record 1
# Y2Mg3Zn4

Crystalline Y2Mg3Zn4 at its relaxed geometry (GGA-PBE, the Materials Project).

Results
The calculation puts the formation enthalpy at 0 K at -1.86 eV/f.u. The space group is No. 194.

Cell: 9.5335 9.5335 9.4432 Å, 90.00 90.00 120.00°
With the nearest neighbours (Å) after each atom.
Fractional positions:
Y 0.0000 0.0000 0.2500  6 Mg 3.12
Y 0.0000 0.0000 0.7500  6 Mg 3.12
Y 0.2123 0.4246 0.2500  8 Zn 3.08-3.41, 2 Mg 3.26
Y 0.2123 0.7877 0.2500  8 Zn 3.08-3.41, 2 Mg 3.26
Y 0.4246 0.2123 0.7500  8 Zn 3.08-3.41, 2 Mg 3.26
Y 0.5754 0.7877 0.2500  8 Zn 3.08-3.41, 2 Mg 3.26
Y 0.7877 0.2123 0.7500  8 Zn 3.08-3.41, 2 Mg 3.26
Y 0.7877 0.5754 0.7500  8 Zn 3.08-3.41, 2 Mg 3.26
Mg 0.1633 0.3265 0.5846  5 Zn 2.89-2.92, 1 Y 3.12, 3 Mg 3.12-3.13
Mg 0.1633 0.3265 0.9154  5 Zn 2.89-2.92, 1 Y 3.12, 3 Mg 3.12-3.13
Mg 0.1633 0.8367 0.5846  5 Zn 2.89-2.92, 1 Y 3.12, 3 Mg 3.12-3.13
Mg 0.1633 0.8367 0.9154  5 Zn 2.89-2.92, 1 Y 3.12, 3 Mg 3.12-3.13
Mg 0.3265 0.1633 0.0846  5 Zn 2.89-2.92, 1 Y 3.12, 3 Mg 3.12-3.13
Mg 0.3265 0.1633 0.4154  5 Zn 2.89-2.92, 1 Y 3.12, 3 Mg 3.12-3.13
Mg 0.6735 0.8367 0.5846  5 Zn 2.89-2.92, 1 Y 3.12, 3 Mg 3.12-3.13
Mg 0.6735 0.8367 0.9154  5 Zn 2.89-2.92, 1 Y 3.12, 3 Mg 3.12-3.13
Mg 0.8367 0.1633 0.0846  5 Zn 2.89-2.92, 1 Y 3.12, 3 Mg 3.12-3.13
Mg 0.8367 0.1633 0.4154  5 Zn 2.89-2.92, 1 Y 3.12, 3 Mg 3.12-3.13
Mg 0.8367 0.6735 0.0846  5 Zn 2.89-2.92, 1 Y 3.12, 3 Mg 3.12-3.13
Mg 0.8367 0.6735 0.4154  5 Zn 2.89-2.92, 1 Y 3.12, 3 Mg 3.12-3.13
Zn 0.0000 0.5000 0.0000  4 Zn 2.60-2.75, 4 Mg 2.89
Zn 0.0000 0.5000 0.5000  4 Zn 2.60-2.75, 4 Mg 2.89
Zn 0.1309 0.5654 0.7500  6 Zn 2.60-2.90, 4 Mg 2.90
Zn 0.3333 0.6667 0.0015  6 Zn 2.75-2.90, 3 Mg 2.92, 3 Y 3.08
Zn 0.3333 0.6667 0.4985  6 Zn 2.75-2.90, 3 Mg 2.92, 3 Y 3.08
Zn 0.4346 0.5654 0.7500  6 Zn 2.60-2.90, 4 Mg 2.90
Zn 0.4346 0.8691 0.7500  6 Zn 2.60-2.90, 4 Mg 2.90
Zn 0.5000 0.0000 0.0000  4 Zn 2.60-2.75, 4 Mg 2.89
Zn 0.5000 0.0000 0.5000  4 Zn 2.60-2.75, 4 Mg 2.89
Zn 0.5000 0.5000 0.0000  4 Zn 2.60-2.75, 4 Mg 2.89
Zn 0.5000 0.5000 0.5000  4 Zn 2.60-2.75, 4 Mg 2.89
Zn 0.5654 0.1309 0.2500  6 Zn 2.60-2.90, 4 Mg 2.90
Zn 0.5654 0.4346 0.2500  6 Zn 2.60-2.90, 4 Mg 2.90
Zn 0.6667 0.3333 0.5015  6 Zn 2.75-2.90, 3 Mg 2.92, 3 Y 3.08
Zn 0.6667 0.3333 0.9985  6 Zn 2.75-2.90, 3 Mg 2.92, 3 Y 3.08
Zn 0.8691 0.4346 0.2500  6 Zn 2.60-2.90, 4 Mg 2.90

Record 2
# YMg6Zr

Crystalline YMg6Zr at its relaxed geometry (GGA-PBE, the Materials Project).

Results
The calculation puts the formation enthalpy at 0 K at -0.09 eV/f.u. The excess energy over the best structure of this formula in the dataset is 0 meV/atom. The space group is No. 65.

Cell: 6.3721 6.3721 4.7073 Å, 90.00 90.00 96.64°
With the nearest neighbours (Å) after each atom.
Fractional positions:
Y 0.0000 0.0000 0.0000  12 Mg 3.19-3.39
Mg 0.0000 0.5000 0.0000  8 Mg 3.17-3.35, 2 Zr 3.19, 2 Y 3.19
Mg 0.2569 0.7431 0.5000  8 Mg 3.08-3.29, 2 Zr 3.30, 2 Y 3.39
Mg 0.2593 0.2593 0.5000  8 Mg 3.08-3.35, 2 Zr 3.11, 2 Y 3.22
Mg 0.5000 0.0000 0.0000  8 Mg 3.17-3.35, 2 Zr 3.19, 2 Y 3.19
Mg 0.7407 0.7407 0.5000  8 Mg 3.08-3.35, 2 Zr 3.11, 2 Y 3.22
Mg 0.7431 0.2569 0.5000  8 Mg 3.08-3.29, 2 Zr 3.30, 2 Y 3.39
Zr 0.5000 0.5000 0.0000  12 Mg 3.11-3.30

Record 3
# YMg6Zr

Crystalline YMg6Zr at its relaxed geometry (GGA-PBE, the Materials Project).

Results
The calculation puts the formation enthalpy at 0 K at 0.48 eV/f.u. The excess energy over the best structure of this formula in the dataset is 72 meV/atom.

Cell: 5.1838 6.5516 11.3867 Å, 90.00 90.00 90.00°
With the nearest neighbours (Å) after each atom.
Fractional positions:
Y 0.0000 0.5000 0.3316  2 Zr 3.22, 10 Mg 3.22-3.34
Y 0.0000 0.0000 0.8316  2 Zr 3.22, 10 Mg 3.22-3.34
Mg 0.0000 0.2572 0.0845  2 Zr 3.17, 8 Mg 3.18-3.37, 2 Y 3.23-3.34
Mg 0.0000 0.7428 0.0845  2 Zr 3.17, 8 Mg 3.18-3.37, 2 Y 3.23-3.34
Mg 0.0000 0.0000 0.3350  10 Mg 3.20-3.31, 2 Y 3.28
Mg 0.5000 0.7519 0.4174  8 Mg 3.20-3.30, 2 Y 3.22, 2 Zr 3.25-3.32
Mg 0.5000 0.2481 0.4174  8 Mg 3.20-3.30, 2 Y 3.22, 2 Zr 3.25-3.32
Mg 0.5000 0.0000 0.1652  10 Mg 3.23-3.30, 2 Zr 3.28
Mg 0.0000 0.7572 0.5845  2 Zr 3.17, 8 Mg 3.18-3.37, 2 Y 3.23-3.34
Mg 0.0000 0.2428 0.5845  2 Zr 3.17, 8 Mg 3.18-3.37, 2 Y 3.23-3.34
Mg 0.0000 0.5000 0.8350  10 Mg 3.20-3.31, 2 Y 3.28
Mg 0.5000 0.2519 0.9174  8 Mg 3.20-3.30, 2 Y 3.22, 2 Zr 3.25-3.32
Mg 0.5000 0.7481 0.9174  8 Mg 3.20-3.30, 2 Y 3.22, 2 Zr 3.25-3.32
Mg 0.5000 0.5000 0.6652  10 Mg 3.23-3.30, 2 Zr 3.28
Zr 0.5000 0.5000 0.1644  10 Mg 3.17-3.32, 2 Y 3.22
Zr 0.5000 0.0000 0.6644  10 Mg 3.17-3.32, 2 Y 3.22

Record 4
# Mg2Zn

Crystalline Mg2Zn at its relaxed geometry (GGA-PBE, the Materials Project).

Results
The calculation puts the formation enthalpy at 0 K at 0.00 eV/f.u. The space group is No. 12.

Cell: 5.7937 5.7937 7.1799 Å, 105.81 105.81 31.14°
With the nearest neighbours (Å) after each atom.
Fractional positions:
Mg 0.0302 0.0302 0.3161  7 Mg 2.90-3.13, 5 Zn 2.96-3.07
Mg 0.3573 0.3573 0.9637  3 Zn 2.95-3.08, 9 Mg 3.02-3.13
Mg 0.6427 0.6427 0.0363  3 Zn 2.95-3.08, 9 Mg 3.02-3.13
Mg 0.9698 0.9698 0.6839  7 Mg 2.90-3.13, 5 Zn 2.96-3.07
Zn 0.3035 0.3035 0.3617  8 Mg 2.95-3.08, 4 Zn 3.02-3.11
Zn 0.6965 0.6965 0.6383  8 Mg 2.95-3.08, 4 Zn 3.02-3.11

Record 5
# Mg2Zn

Crystalline Mg2Zn at its relaxed geometry (GGA-PBE, the Materials Project).

Results
The calculation puts the formation enthalpy at 0 K at -0.01 eV/f.u. The space group is No. 8.

Cell: 5.7147 5.7147 7.0698 Å, 101.82 101.82 31.79°
With the nearest neighbours (Å) after each atom.
Fractional positions:
Mg 0.0000 0.0000 0.0000  5 Zn 2.90-3.03, 7 Mg 3.02-3.13
Mg 0.0547 0.0547 0.5989  8 Mg 2.97-3.13, 4 Zn 3.06-3.14
Mg 0.3307 0.3307 0.6654  3 Zn 2.92-3.02, 9 Mg 2.97-3.13
Mg 0.6770 0.6770 0.3169  4 Zn 2.82-3.09, 8 Mg 3.06-3.13
Zn 0.3911 0.3911 0.2676  8 Mg 2.90-3.09, 4 Zn 3.06-3.13
Zn 0.7246 0.7246 0.9403  8 Mg 2.82-3.14, 4 Zn 3.06-3.13

Record 6
# Mg2Zn

Crystalline Mg2Zn at its relaxed geometry (GGA-PBE, the Materials Project).

Results
The calculation puts the formation enthalpy at 0 K at 0.06 eV/f.u. The space group is No. 164.

Cell: 3.0540 3.0540 15.0022 Å, 90.00 90.00 120.00°
With the nearest neighbours (Å) after each atom.
Fractional positions:
Mg 0.3333 0.6667 0.0914  12 Mg 3.05-3.28
Mg 0.3333 0.6667 0.7242  3 Zn 2.92, 6 Mg 3.05
Mg 0.6667 0.3333 0.2758  3 Zn 2.92, 6 Mg 3.05
Mg 0.6667 0.3333 0.9086  12 Mg 3.05-3.28
Zn 0.3333 0.6667 0.4312  3 Zn 2.71, 3 Mg 2.92
Zn 0.6667 0.3333 0.5688  3 Zn 2.71, 3 Mg 2.92

Record 7
# Mg2Zn

Crystalline Mg2Zn at its relaxed geometry (GGA-PBE, the Materials Project).

Results
The calculation puts the formation enthalpy at 0 K at 0.00 eV/f.u. The space group is No. 194.

Cell: 3.0882 3.0882 14.5266 Å, 90.00 90.00 120.00°
With the nearest neighbours (Å) after each atom.
Fractional positions:
Mg 0.3333 0.6667 0.0918  3 Zn 2.91, 9 Mg 3.09-3.21
Mg 0.3333 0.6667 0.4082  3 Zn 2.91, 9 Mg 3.09-3.21
Mg 0.6667 0.3333 0.5918  3 Zn 2.91, 9 Mg 3.09-3.21
Mg 0.6667 0.3333 0.9082  3 Zn 2.91, 9 Mg 3.09-3.21
Zn 0.3333 0.6667 0.7500  6 Mg 2.91, 6 Zn 3.09
Zn 0.6667 0.3333 0.2500  6 Mg 2.91, 6 Zn 3.09

Record 8
# Mg21Zn25

Crystalline Mg21Zn25 at its relaxed geometry (GGA-PBE, the Materials Project).

Results
The calculation puts the formation enthalpy at 0 K at -5.95 eV/f.u. The space group is No. 167.

Cell: 15.0424 15.0424 15.0424 Å, 116.41 116.41 116.41°
With the nearest neighbours (Å) after each atom.
Fractional positions:
Mg 0.0451 0.5631 0.1412  8 Zn 2.93-3.25, 5 Mg 2.98-3.23
Mg 0.0483 0.8162 0.2764  7 Zn 2.92-3.00, 5 Mg 3.05-3.24
Mg 0.0521 0.9347 0.8187  12 Zn 3.03-3.14, 4 Mg 3.06-3.21
Mg 0.0572 0.7500 0.4428  4 Zn 2.90-2.93, 8 Mg 3.05-3.24
Mg 0.0631 0.5451 0.6412  8 Zn 2.93-3.25, 5 Mg 2.98-3.23
Mg 0.0653 0.1813 0.9479  12 Zn 3.03-3.14, 4 Mg 3.06-3.21
Mg 0.1412 0.0451 0.5631  8 Zn 2.93-3.25, 5 Mg 2.98-3.23
Mg 0.1813 0.9479 0.0653  12 Zn 3.03-3.14, 4 Mg 3.06-3.21
Mg 0.1838 0.7236 0.9517  7 Zn 2.92-3.00, 5 Mg 3.05-3.24
Mg 0.2236 0.6838 0.4517  7 Zn 2.92-3.00, 5 Mg 3.05-3.24
Mg 0.2500 0.5572 0.9428  4 Zn 2.90-2.93, 8 Mg 3.05-3.24
Mg 0.2764 0.0483 0.8162  7 Zn 2.92-3.00, 5 Mg 3.05-3.24
Mg 0.3162 0.5483 0.7764  7 Zn 2.92-3.00, 5 Mg 3.05-3.24
Mg 0.3187 0.4347 0.5521  12 Zn 3.03-3.14, 4 Mg 3.06-3.21
Mg 0.3588 0.9369 0.4549  8 Zn 2.93-3.25, 5 Mg 2.98-3.23
Mg 0.4347 0.5521 0.3187  12 Zn 3.03-3.14, 4 Mg 3.06-3.21
Mg 0.4369 0.8588 0.9549  8 Zn 2.93-3.25, 5 Mg 2.98-3.23
Mg 0.4428 0.0572 0.7500  4 Zn 2.90-2.93, 8 Mg 3.05-3.24
Mg 0.4479 0.6813 0.5653  12 Zn 3.03-3.14, 4 Mg 3.06-3.21
Mg 0.4517 0.2236 0.6838  7 Zn 2.92-3.00, 5 Mg 3.05-3.24
Mg 0.4549 0.3588 0.9369  8 Zn 2.93-3.25, 5 Mg 2.98-3.23
Mg 0.5451 0.6412 0.0631  8 Zn 2.93-3.25, 5 Mg 2.98-3.23
Mg 0.5483 0.7764 0.3162  7 Zn 2.92-3.00, 5 Mg 3.05-3.24
Mg 0.5521 0.3187 0.4347  12 Zn 3.03-3.14, 4 Mg 3.06-3.21
Mg 0.5572 0.9428 0.2500  4 Zn 2.90-2.93, 8 Mg 3.05-3.24
Mg 0.5631 0.1412 0.0451  8 Zn 2.93-3.25, 5 Mg 2.98-3.23
Mg 0.5653 0.4479 0.6813  12 Zn 3.03-3.14, 4 Mg 3.06-3.21
Mg 0.6412 0.0631 0.5451  8 Zn 2.93-3.25, 5 Mg 2.98-3.23
Mg 0.6813 0.5653 0.4479  12 Zn 3.03-3.14, 4 Mg 3.06-3.21
Mg 0.6838 0.4517 0.2236  7 Zn 2.92-3.00, 5 Mg 3.05-3.24
Mg 0.7236 0.9517 0.1838  7 Zn 2.92-3.00, 5 Mg 3.05-3.24
Mg 0.7500 0.4428 0.0572  4 Zn 2.90-2.93, 8 Mg 3.05-3.24
Mg 0.7764 0.3162 0.5483  7 Zn 2.92-3.00, 5 Mg 3.05-3.24
Mg 0.8162 0.2764 0.0483  7 Zn 2.92-3.00, 5 Mg 3.05-3.24
Mg 0.8187 0.0521 0.9347  12 Zn 3.03-3.14, 4 Mg 3.06-3.21
Mg 0.8588 0.9549 0.4369  8 Zn 2.93-3.25, 5 Mg 2.98-3.23
Mg 0.9347 0.8187 0.0521  12 Zn 3.03-3.14, 4 Mg 3.06-3.21
Mg 0.9369 0.4549 0.3588  8 Zn 2.93-3.25, 5 Mg 2.98-3.23
Mg 0.9428 0.2500 0.5572  4 Zn 2.90-2.93, 8 Mg 3.05-3.24
Mg 0.9479 0.0653 0.1813  12 Zn 3.03-3.14, 4 Mg 3.06-3.21
Mg 0.9517 0.1838 0.7236  7 Zn 2.92-3.00, 5 Mg 3.05-3.24
Mg 0.9549 0.4369 0.8588  8 Zn 2.93-3.25, 5 Mg 2.98-3.23
Zn 0.0000 0.0000 0.0000  6 Zn 2.67
Zn 0.0192 0.3109 0.4277  5 Zn 2.58-2.65
Zn 0.0715 0.3729 0.3086  5 Zn 2.55-2.64
Zn 0.0723 0.1891 0.4808  5 Zn 2.58-2.65
Zn 0.1193 0.1190 0.7640  5 Zn 2.62-2.70
Zn 0.1190 0.7640 0.1193  5 Zn 2.62-2.70
Zn 0.1271 0.4285 0.1914  5 Zn 2.55-2.64
Zn 0.1892 0.3108 0.2500  6 Zn 2.63-2.69
Zn 0.1891 0.4808 0.0723  5 Zn 2.58-2.65
Zn 0.1914 0.1271 0.4285  5 Zn 2.55-2.64
Zn 0.1919 0.3081 0.7500  4 Zn 2.65-2.70, 6 Mg 2.90-2.96
Zn 0.2360 0.8807 0.8810  5 Zn 2.62-2.70
Zn 0.2500 0.1892 0.3108  6 Zn 2.63-2.69
Zn 0.2500 0.8081 0.6919  4 Zn 2.65-2.70, 6 Mg 2.90-2.96
Zn 0.2640 0.6190 0.6193  5 Zn 2.62-2.70
Zn 0.3081 0.7500 0.1919  4 Zn 2.65-2.70, 6 Mg 2.90-2.96
Zn 0.3086 0.0715 0.3729  5 Zn 2.55-2.64
Zn 0.3108 0.2500 0.1892  6 Zn 2.63-2.69
Zn 0.3109 0.4277 0.0192  5 Zn 2.58-2.65
Zn 0.3729 0.3086 0.0715  5 Zn 2.55-2.64
Zn 0.3810 0.3807 0.7360  5 Zn 2.62-2.70
Zn 0.3807 0.7360 0.3810  5 Zn 2.62-2.70
Zn 0.4277 0.0192 0.3109  5 Zn 2.58-2.65
Zn 0.4285 0.1914 0.1271  5 Zn 2.55-2.64
Zn 0.4808 0.0723 0.1891  5 Zn 2.58-2.65
Zn 0.5000 0.5000 0.5000  6 Zn 2.67
Zn 0.5192 0.9277 0.8109  5 Zn 2.58-2.65
Zn 0.5715 0.8086 0.8729  5 Zn 2.55-2.64
Zn 0.5723 0.9808 0.6891  5 Zn 2.58-2.65
Zn 0.6193 0.2640 0.6190  5 Zn 2.62-2.70
Zn 0.6190 0.6193 0.2640  5 Zn 2.62-2.70
Zn 0.6271 0.6914 0.9285  5 Zn 2.55-2.64
Zn 0.6891 0.5723 0.9808  5 Zn 2.58-2.65
Zn 0.6892 0.7500 0.8108  6 Zn 2.63-2.69
Zn 0.6914 0.9285 0.6271  5 Zn 2.55-2.64
Zn 0.6919 0.2500 0.8081  4 Zn 2.65-2.70, 6 Mg 2.90-2.96
Zn 0.7360 0.3810 0.3807  5 Zn 2.62-2.70
Zn 0.7500 0.1919 0.3081  4 Zn 2.65-2.70, 6 Mg 2.90-2.96
Zn 0.7500 0.8108 0.6892  6 Zn 2.63-2.69
Zn 0.7640 0.1193 0.1190  5 Zn 2.62-2.70
Zn 0.8081 0.6919 0.2500  4 Zn 2.65-2.70, 6 Mg 2.90-2.96
Zn 0.8086 0.8729 0.5715  5 Zn 2.55-2.64
Zn 0.8109 0.5192 0.9277  5 Zn 2.58-2.65
Zn 0.8108 0.6892 0.7500  6 Zn 2.63-2.69
Zn 0.8729 0.5715 0.8086  5 Zn 2.55-2.64
Zn 0.8810 0.2360 0.8807  5 Zn 2.62-2.70
Zn 0.8807 0.8810 0.2360  5 Zn 2.62-2.70
Zn 0.9277 0.8109 0.5192  5 Zn 2.58-2.65
Zn 0.9285 0.6271 0.6914  5 Zn 2.55-2.64
Zn 0.9808 0.6891 0.5723  5 Zn 2.58-2.65